SrSm2S4 | r²SCAN | relaxed

Calculated values
Its space group is I-42d. The value obtained for the formation energy is -2.382 eV per atom.

Cell: 7.464 7.464 7.464 Å, 109.39 109.39 109.63°
Sites, in units of the cell vectors:
Sr  0.000  0.000  0.000
Sr  0.750  0.250  0.500
Sm  0.249  0.625  0.124
Sm  0.375  0.499  0.624
Sm  0.501  0.125  0.876
Sm  0.875  0.751  0.376
S  0.136  0.735  0.748
S  0.138  0.237  0.752
S  0.265  0.013  0.401
S  0.485  0.386  0.248
S  0.612  0.864  0.599
S  0.614  0.862  0.099
S  0.763  0.515  0.901
S  0.987  0.388  0.252